No. 1
TmCoGe2 PBE optimized geometry; crystal system = orthorhombic; space group = No. 63; formation enthalpy at 0 K = -583 meV/atom; calculated density = 8.8 g cm⁻³; E_tot = -5.790 eV/atom
1.0
2.029 -8.147 0.000
2.029 8.147 0.000
0.000 0.000 4.241
Tm Co Ge
2 2 4
Direct
0.108 0.892 0.750 Tm
0.892 0.108 0.250 Tm
0.319 0.681 0.750 Co
0.681 0.319 0.250 Co
0.256 0.744 0.250 Ge
0.458 0.542 0.750 Ge
0.542 0.458 0.250 Ge
0.744 0.256 0.750 Ge

No. 2
U3Co4Ge7 PBE optimized geometry; size of the total moment = 1.75 μB per cell; crystal system = tetragonal; space group = No. 139; formation enthalpy at 0 K = -343 meV/atom; calculated density = 10.4 g cm⁻³; E_tot = -7.105 eV/atom
1.0
-2.069 2.069 13.578
2.069 -2.069 13.578
2.069 2.069 -13.578
U Co Ge
3 4 7
Direct
0.000 0.000 0.000 U
0.327 0.327 0.000 U
0.673 0.673 0.000 U
0.118 0.118 0.000 Co
0.250 0.750 0.500 Co
0.750 0.250 0.500 Co
0.882 0.882 0.000 Co
0.081 0.581 0.500 Ge
0.203 0.203 0.000 Ge
0.419 0.919 0.500 Ge
0.500 0.500 0.000 Ge
0.581 0.081 0.500 Ge
0.797 0.797 0.000 Ge
0.919 0.419 0.500 Ge

No. 3
UCo2Ge2 PBE optimized geometry; crystal system = tetragonal; energy relative to the lowest polymorph listed for this composition = 0.000 eV per atom; space group = No. 129; formation enthalpy at 0 K = -349 meV/atom; calculated density = 10.8 g cm⁻³; E_tot = -7.300 eV/atom
1.0
4.057 0.000 0.000
0.000 4.057 0.000
0.000 0.000 9.391
U Co Ge
2 4 4
Direct
0.250 0.250 0.243 U
0.750 0.750 0.757 U
0.250 0.250 0.628 Co
0.250 0.750 0.000 Co
0.750 0.250 0.000 Co
0.750 0.750 0.372 Co
0.250 0.250 0.869 Ge
0.250 0.750 0.500 Ge
0.750 0.250 0.500 Ge
0.750 0.750 0.131 Ge

No. 4
U3Co2Ge7 PBE optimized geometry; size of the total moment = 6.03 μB per cell; crystal system = orthorhombic; space group = No. 65; formation enthalpy at 0 K = -328 meV/atom; calculated density = 10.3 g cm⁻³; E_tot = -7.033 eV/atom
1.0
2.073 -12.458 0.000
2.073 12.458 0.000
0.000 0.000 4.178
U Co Ge
3 2 7
Direct
0.000 0.000 0.000 U
0.314 0.686 0.500 U
0.686 0.314 0.500 U
0.128 0.872 0.000 Co
0.872 0.128 0.000 Co
0.088 0.912 0.500 Ge
0.220 0.780 0.000 Ge
0.413 0.587 0.000 Ge
0.500 0.500 0.500 Ge
0.587 0.413 0.000 Ge
0.780 0.220 0.000 Ge
0.912 0.088 0.500 Ge

No. 5
U2Co15Ge2 PBE optimized geometry; size of the total moment = 31.66 μB per cell; crystal system = orthorhombic; space group = No. 63; formation enthalpy at 0 K = -47 meV/atom; calculated density = 10.4 g cm⁻³; E_tot = -7.334 eV/atom
1.0
4.089 -7.091 0.000
4.089 7.091 0.000
0.000 0.000 8.263
U Co Ge
4 30 4
Direct
0.000 0.000 0.250 U
0.000 0.000 0.750 U
0.333 0.667 0.750 U
0.667 0.333 0.250 U
0.000 0.500 0.000 Co
0.000 0.500 0.500 Co
0.024 0.353 0.250 Co
0.024 0.671 0.250 Co
0.162 0.325 0.518 Co
0.162 0.325 0.982 Co
0.162 0.838 0.518 Co
0.162 0.838 0.982 Co
0.325 0.162 0.018 Co
0.325 0.162 0.482 Co
0.329 0.353 0.250 Co
0.329 0.976 0.250 Co
0.353 0.024 0.750 Co
0.353 0.329 0.750 Co
0.500 0.000 0.000 Co
0.500 0.000 0.500 Co
0.500 0.500 0.000 Co
0.500 0.500 0.500 Co
0.647 0.671 0.250 Co
0.647 0.976 0.250 Co
0.671 0.024 0.750 Co
0.671 0.647 0.750 Co
0.675 0.838 0.518 Co
0.675 0.838 0.982 Co
0.838 0.162 0.018 Co
0.838 0.162 0.482 Co
0.838 0.675 0.018 Co
0.838 0.675 0.482 Co
0.976 0.329 0.750 Co
0.976 0.647 0.750 Co
0.333 0.667 0.101 Ge
0.333 0.667 0.399 Ge
0.667 0.333 0.601 Ge
0.667 0.333 0.899 Ge

No. 6
UCo2Ge2 PBE optimized geometry; size of the total moment = 3.28 μB per cell; crystal system = tetragonal; energy relative to the lowest polymorph listed for this composition = 0.038 eV per atom; space group = No. 139; formation enthalpy at 0 K = -311 meV/atom; calculated density = 10.6 g cm⁻³; E_tot = -7.262 eV/atom
1.0
-2.021 2.021 4.786
2.021 -2.021 4.786
2.021 2.021 -4.786
U Co Ge
1 2 2
Direct
0.000 0.000 0.000 U
0.250 0.750 0.500 Co
0.750 0.250 0.500 Co
0.372 0.372 0.000 Ge
0.628 0.628 0.000 Ge

No. 7
Y2Co3Ge5 PBE optimized geometry; size of the total moment = 1.15 μB per cell; crystal system = monoclinic; space group = No. 15; formation enthalpy at 0 K = -587 meV/atom; calculated density = 7.2 g cm⁻³; E_tot = -6.324 eV/atom
1.0
5.567 -5.880 0.000
5.567 5.880 0.000
-2.802 0.000 5.029
Y Co Ge
4 6 10
Direct
0.094 0.372 0.235 Y
0.372 0.094 0.735 Y
0.628 0.906 0.265 Y
0.906 0.628 0.765 Y
0.038 0.759 0.382 Co
0.241 0.962 0.118 Co
0.496 0.504 0.250 Co
0.504 0.496 0.750 Co
0.759 0.038 0.882 Co
0.962 0.241 0.618 Co
0.008 0.992 0.750 Ge
0.240 0.424 0.830 Ge
0.272 0.728 0.750 Ge
0.283 0.717 0.250 Ge
0.424 0.240 0.330 Ge
0.576 0.760 0.670 Ge
0.717 0.283 0.750 Ge
0.728 0.272 0.250 Ge
0.760 0.576 0.170 Ge
0.992 0.008 0.250 Ge

No. 8
Y3Co2Ge4 PBE optimized geometry; size of the total moment = 0.01 μB per cell; crystal system = monoclinic; space group = No. 12; formation enthalpy at 0 K = -726 meV/atom; calculated density = 6.6 g cm⁻³; E_tot = -6.516 eV/atom
1.0
5.309 -2.084 0.000
5.309 2.084 0.000
-2.453 0.000 7.645
Y Co Ge
3 2 4
Direct
0.000 0.000 0.000 Y
0.376 0.376 0.308 Y
0.624 0.624 0.692 Y
0.310 0.310 0.630 Co
0.690 0.690 0.370 Co
0.098 0.098 0.401 Ge
0.290 0.290 0.919 Ge
0.710 0.710 0.081 Ge
0.902 0.902 0.599 Ge

No. 9
Y3Co4Ge13 PBE optimized geometry; size of the total moment = 0.07 μB per cell; crystal system = cubic; space group = No. 223; formation enthalpy at 0 K = -414 meV/atom; calculated density = 7.0 g cm⁻³; E_tot = -5.811 eV/atom
1.0
8.817 0.000 0.000
0.000 8.817 0.000
0.000 0.000 8.817
Y Co Ge
6 8 26
Direct
0.000 0.250 0.500 Y
0.000 0.750 0.500 Y
0.250 0.500 0.000 Y
0.500 0.000 0.250 Y
0.500 0.000 0.750 Y
0.750 0.500 0.000 Y
0.250 0.250 0.250 Co
0.250 0.250 0.750 Co
0.250 0.750 0.250 Co
0.250 0.750 0.750 Co
0.750 0.250 0.250 Co
0.750 0.250 0.750 Co
0.750 0.750 0.250 Co
0.750 0.750 0.750 Co
0.000 0.000 0.000 Ge
0.000 0.303 0.153 Ge
0.000 0.303 0.847 Ge
0.000 0.697 0.153 Ge
0.000 0.697 0.847 Ge
0.153 0.000 0.303 Ge
0.153 0.000 0.697 Ge
0.197 0.500 0.347 Ge
0.197 0.500 0.653 Ge
0.303 0.153 0.000 Ge
0.303 0.847 0.000 Ge
0.347 0.197 0.500 Ge
0.347 0.803 0.500 Ge
0.500 0.347 0.197 Ge
0.500 0.347 0.803 Ge
0.500 0.500 0.500 Ge
0.500 0.653 0.197 Ge
0.500 0.653 0.803 Ge
0.653 0.197 0.500 Ge
0.653 0.803 0.500 Ge
0.697 0.153 0.000 Ge
0.697 0.847 0.000 Ge
0.803 0.500 0.347 Ge
0.803 0.500 0.653 Ge
0.847 0.000 0.303 Ge
0.847 0.000 0.697 Ge

No. 10
YCoGe PBE optimized geometry; crystal system = orthorhombic; space group = No. 62; formation enthalpy at 0 K = -662 meV/atom; calculated density = 6.9 g cm⁻³; E_tot = -6.728 eV/atom
1.0
6.893 0.000 0.000
0.000 4.213 0.000
0.000 0.000 7.274
Y Co Ge
4 4 4
Direct
0.008 0.250 0.197 Y
0.492 0.750 0.697 Y
0.508 0.250 0.303 Y
0.992 0.750 0.803 Y
0.154 0.750 0.434 Co
0.346 0.250 0.934 Co
0.654 0.750 0.066 Co
0.846 0.250 0.566 Co
0.202 0.250 0.601 Ge
0.298 0.750 0.101 Ge
0.702 0.250 0.899 Ge
0.798 0.750 0.399 Ge

No. 11
YCoGe2 PBE optimized geometry; crystal system = orthorhombic; space group = No. 63; formation enthalpy at 0 K = -633 meV/atom; calculated density = 6.8 g cm⁻³; E_tot = -6.338 eV/atom
1.0
2.084 -8.130 0.000
2.084 8.130 0.000
0.000 0.000 4.252
Y Co Ge
2 2 4
Direct
0.107 0.893 0.750 Y
0.893 0.107 0.250 Y
0.317 0.683 0.750 Co
0.683 0.317 0.250 Co
0.253 0.747 0.250 Ge
0.456 0.544 0.750 Ge
0.544 0.456 0.250 Ge
0.747 0.253 0.750 Ge

No. 12
ZnCo2Ge PBE optimized geometry; crystal system = cubic; space group = No. 225; formation enthalpy at 0 K = -143 meV/atom; calculated density = 9.0 g cm⁻³; E_tot = -5.168 eV/atom
1.0
0.000 2.872 2.872
2.872 0.000 2.872
2.872 2.872 0.000
Zn Co Ge
1 2 1
Direct
0.000 0.000 0.000 Zn
0.250 0.250 0.250 Co
0.750 0.750 0.750 Co
0.500 0.500 0.500 Ge